Model w:
# PBE with a Hubbard U Na4MgCo2O6, optimized geometry
data_Na4MgCo2O6
_chemical_formula_sum 'Na4 Mg1 Co2 O6'
_space_group_name_H-M_alt 'P 1'
_space_group_IT_number 1
_space_group_name_Hall 'P 1'
_cell_length_a 6.0524
_cell_length_b 6.1110
_cell_length_c 6.4062
_cell_angle_alpha 93.81
_cell_angle_beta 116.20
_cell_angle_gamma 117.62
loop_
_atom_site_label
_atom_site_type_symbol
_atom_site_fract_x
_atom_site_fract_y
_atom_site_fract_z
Na1 Na 0.0000 0.0000 0.0000
Na2 Na 0.0681 0.4865 0.4624
Na3 Na 0.4990 0.3362 0.5136
Na4 Na 0.6990 0.9693 0.4594
Mg1 Mg 0.3751 0.0203 0.8459
Co1 Co 0.5338 0.4695 0.0835
Co2 Co 0.9993 0.4986 0.9637
O1 O 0.0183 0.6819 0.7541
O2 O 0.2556 0.2772 0.7409
O3 O 0.3329 0.5234 0.2260
O4 O 0.5442 0.1891 0.2002
O5 O 0.7011 0.1369 0.7957
O6 O 0.9146 0.6804 0.1630
# Size of the total moment ... 0.615 μB per atom
# Volume ... 13.6 A^3/atom
# Crystal system ... triclinic

Model x:
# PBE with a Hubbard U Na4MgCo2O6, optimized geometry
data_Na4MgCo2O6
_chemical_formula_sum 'Na4 Mg1 Co2 O6'
_space_group_name_H-M_alt 'P -1'
_space_group_IT_number 2
_space_group_name_Hall '-P 1'
_cell_length_a 5.5440
_cell_length_b 5.7079
_cell_length_c 5.7926
_cell_angle_alpha 68.56
_cell_angle_beta 75.18
_cell_angle_gamma 70.15
loop_
_atom_site_label
_atom_site_type_symbol
_atom_site_fract_x
_atom_site_fract_y
_atom_site_fract_z
Na1 Na 0.0000 0.0000 0.0000
Na2 Na 0.0000 0.5000 0.5000
Na3 Na 0.2706 0.0225 0.4742
Mg1 Mg 0.5000 0.5000 0.5000
Co1 Co 0.2777 0.4044 0.9760
O1 O 0.0433 0.7201 0.7744
O2 O 0.3524 0.2095 0.7573
O3 O 0.3784 0.4549 0.2334
# Size of the total moment ... 0.615 μB per atom
# Volume ... 12.2 A^3/atom
# Crystal system ... triclinic

Looking at the structures above, model w is most stable, and the difference to the next one is 9.0 kJ/mol of atoms.